Entry from the Materials Project database: a relaxed structure of GeTePb2Se2 (GGA-PBE).

MP2020-corrected energy (eV/atom): -4.232
Size of the total moment (μB/f.u.): 0.0
SG: P3m1, No. 156

a = 4.3205 Å, b = 4.3205 Å, c = 10.8339 Å
α = 90.00°, β = 90.00°, γ = 120.00°
Fractional positions:
Ge 0.0000 0.0000 0.0000
Te 0.6667 0.3333 0.8585
Pb 0.3333 0.6667 0.6480
Pb 0.6667 0.3333 0.3071
Se 0.0000 0.0000 0.4950
Se 0.3333 0.6667 0.1542



Entry from the Materials Project database: a relaxed structure of GeTe4Pb3 (GGA-PBE).

Size of the total moment (μB/f.u.): 0.0
SG: P4/mmm, No. 123

a = 4.5638 Å, b = 4.5638 Å, c = 12.9166 Å
α = 90.00°, β = 90.00°, γ = 90.00°
Fractional positions:
Ge 0.0000 0.0000 0.0000
Te 0.0000 0.0000 0.2373
Te 0.0000 0.0000 0.7627
Te 0.5000 0.5000 0.0000
Te 0.5000 0.5000 0.5000
Pb 0.0000 0.0000 0.5000
Pb 0.5000 0.5000 0.2470
Pb 0.5000 0.5000 0.7530



Entry from the Materials Project database: a relaxed structure of GeTe2Pb (GGA-PBE).

Size of the total moment (μB/f.u.): 0.0
SG: P4/mmm, No. 123

a = 4.4816 Å, b = 4.4816 Å, c = 6.3420 Å
α = 90.00°, β = 90.00°, γ = 90.00°
Fractional positions:
Ge 0.0000 0.0000 0.0000
Te 0.0000 0.0000 0.5000
Te 0.5000 0.5000 0.0000
Pb 0.5000 0.5000 0.5000



Entry from the Materials Project database: a relaxed structure of GeTe5Pb4 (GGA-PBE).

Size of the total moment (μB/f.u.): 0.0
SG: R-3m, No. 166

a = 18.7199 Å, b = 18.7199 Å, c = 18.7199 Å
α = 14.05°, β = 14.05°, γ = 14.05°
Fractional positions:
Ge 0.0000 0.0000 0.0000
Te 0.0977 0.0977 0.0977
Te 0.3052 0.3052 0.3052
Te 0.5000 0.5000 0.5000
Te 0.6948 0.6948 0.6948
Te 0.9023 0.9023 0.9023
Pb 0.2011 0.2011 0.2011
Pb 0.3965 0.3965 0.3965
Pb 0.6035 0.6035 0.6035
Pb 0.7989 0.7989 0.7989



Entry from the Materials Project database: a relaxed structure of GePd5 (GGA-PBE).

SG: C2/m, No. 12

a = 4.8231 Å, b = 4.8231 Å, c = 8.5341 Å
α = 94.58°, β = 94.58°, γ = 108.92°
Fractional positions:
Ge 0.2239 0.2239 0.2082
Ge 0.7761 0.7761 0.7918
Pd 0.1889 0.8111 0.0000
Pd 0.2055 0.7238 0.3261
Pd 0.2563 0.2563 0.5074
Pd 0.2762 0.7945 0.6739
Pd 0.3452 0.3452 0.8525
Pd 0.6548 0.6548 0.1475
Pd 0.7238 0.2055 0.3261
Pd 0.7437 0.7437 0.4926
Pd 0.7945 0.2762 0.6739
Pd 0.8111 0.1889 0.0000



Entry from the Materials Project database: a relaxed structure of GePd (GGA-PBE).

SG: Pnma, No. 62

a = 5.8484 Å, b = 3.6086 Å, c = 6.3148 Å
α = 90.00°, β = 90.00°, γ = 90.00°
Fractional positions:
Ge 0.1861 0.2500 0.0795
Ge 0.3139 0.7500 0.5795
Ge 0.6861 0.2500 0.4205
Ge 0.8139 0.7500 0.9205
Pd 0.0043 0.2500 0.6903
Pd 0.4957 0.7500 0.1903
Pd 0.5043 0.2500 0.8097
Pd 0.9957 0.7500 0.3097



Entry from the Materials Project database: a relaxed structure of Pm2GePd (GGA-PBE).

SG: Fm-3m, No. 225

a = 5.1523 Å, b = 5.1523 Å, c = 5.1523 Å
α = 60.00°, β = 60.00°, γ = 60.00°
Fractional positions:
Pm 0.2500 0.2500 0.2500
Pm 0.7500 0.7500 0.7500
Ge 0.0000 0.0000 0.0000
Pd 0.5000 0.5000 0.5000



Entry from the Materials Project database: a relaxed structure of PrGePd2 (GGA-PBE).

SG: Pnma, No. 62

a = 7.6936 Å, b = 7.1016 Å, c = 5.8083 Å
α = 90.00°, β = 90.00°, γ = 90.00°
Fractional positions:
Pr 0.0304 0.2500 0.1488
Pr 0.4696 0.7500 0.6488
Pr 0.5304 0.2500 0.3512
Pr 0.9696 0.7500 0.8512
Ge 0.1229 0.7500 0.3524
Ge 0.3771 0.2500 0.8524
Ge 0.6229 0.7500 0.1476
Ge 0.8771 0.2500 0.6476
Pd 0.1790 0.0531 0.5889
Pd 0.1790 0.4469 0.5889
Pd 0.3210 0.5531 0.0889
Pd 0.3210 0.9469 0.0889
Pd 0.6790 0.0531 0.9111
Pd 0.6790 0.4469 0.9111
Pd 0.8210 0.5531 0.4111
Pd 0.8210 0.9469 0.4111



Entry from the Materials Project database: a relaxed structure of PrGe2Pd2 (GGA-PBE).

SG: I4/mmm, No. 139

a = 5.9950 Å, b = 5.9950 Å, c = 5.9950 Å
α = 137.29°, β = 137.29°, γ = 61.99°
Fractional positions:
Pr 0.0000 0.0000 0.0000
Ge 0.3776 0.3776 0.0000
Ge 0.6224 0.6224 0.0000
Pd 0.2500 0.7500 0.5000
Pd 0.7500 0.2500 0.5000



Entry from the Materials Project database: a relaxed structure of GePdS3 (GGA-PBE).

MP2020-corrected energy (eV/atom): -5.094
SG: C2/m, No. 12

a = 7.7572 Å, b = 7.7572 Å, c = 9.3972 Å
α = 107.38°, β = 107.38°, γ = 26.08°
Fractional positions:
Ge 0.0838 0.0838 0.3005
Ge 0.9162 0.9162 0.6995
Pd 0.3908 0.3908 0.0276
Pd 0.6092 0.6092 0.9724
S 0.0728 0.0728 0.7969
S 0.1704 0.1704 0.1417
S 0.3731 0.3731 0.5421
S 0.6269 0.6269 0.4579
S 0.8296 0.8296 0.8583
S 0.9272 0.9272 0.2031



Entry from the Materials Project database: a relaxed structure of SmGePd3 (GGA-PBE).

Size of the total moment (μB/f.u.): 0.0
SG: Pm-3m, No. 221

a = 4.7145 Å, b = 4.7145 Å, c = 4.7145 Å
α = 90.00°, β = 90.00°, γ = 90.00°
Fractional positions:
Sm 0.0000 0.0000 0.0000
Ge 0.5000 0.5000 0.5000
Pd 0.0000 0.5000 0.5000
Pd 0.5000 0.0000 0.5000
Pd 0.5000 0.5000 0.0000



Entry from the Materials Project database: a relaxed structure of SmGe2Pd (GGA-PBE).

SG: Immm, No. 71

a = 9.6375 Å, b = 9.6375 Å, c = 9.6375 Å
α = 153.58°, β = 124.98°, γ = 62.04°
Fractional positions:
Sm 0.2030 0.2030 0.0000
Sm 0.2410 0.0000 0.2410
Sm 0.7590 0.0000 0.7590
Sm 0.7970 0.7970 0.0000
Ge 0.0740 0.5740 0.5000
Ge 0.1532 0.8032 0.3500
Ge 0.4254 0.4254 0.0000
Ge 0.4531 0.8032 0.6500
Ge 0.5469 0.1968 0.3500
Ge 0.5746 0.5746 0.0000
Ge 0.8468 0.1968 0.6500
Ge 0.9260 0.4260 0.5000
Pd 0.1022 0.3515 0.7507
Pd 0.3992 0.6485 0.7507
Pd 0.6008 0.3515 0.2493
Pd 0.8978 0.6485 0.2493



Entry from the Materials Project database: a relaxed structure of Sm2Ge5Pd3 (GGA-PBE).

SG: Ibam, No. 72

a = 8.5209 Å, b = 8.5209 Å, c = 8.5209 Å
α = 105.35°, β = 89.90°, γ = 137.49°
Fractional positions:
Sm 0.1304 0.2324 0.3629
Sm 0.3696 0.7324 0.1020
Sm 0.6304 0.2676 0.8980
Sm 0.8696 0.7676 0.6371
Ge 0.0227 0.7500 0.2727
Ge 0.1064 0.6562 0.7626
Ge 0.2500 0.2500 0.0000
Ge 0.3936 0.1562 0.5499
Ge 0.4773 0.7500 0.7273
Ge 0.5227 0.2500 0.2727
Ge 0.6064 0.8438 0.4501
Ge 0.7500 0.7500 0.0000
Ge 0.8936 0.3438 0.2374
Ge 0.9773 0.2500 0.7273
Pd 0.1394 0.8884 0.0278
Pd 0.2500 0.7500 0.5000
Pd 0.3606 0.3884 0.7489
Pd 0.6394 0.6116 0.2511
Pd 0.7500 0.2500 0.5000
Pd 0.8606 0.1116 0.9722



Entry from the Materials Project database: a relaxed structure of Sm2Ge6Pd (GGA-PBE).

Size of the total moment (μB/f.u.): 0.0
SG: Amm2, No. 38

a = 4.1557 Å, b = 11.3186 Å, c = 11.3186 Å
α = 20.88°, β = 90.00°, γ = 90.00°
Fractional positions:
Sm 0.0000 0.0000 0.0000
Sm 0.0000 0.3378 0.3378
Ge 0.0000 0.6038 0.6038
Ge 0.0000 0.7161 0.7161
Ge 0.5000 0.1021 0.1021
Ge 0.5000 0.2148 0.2148
Ge 0.5000 0.4576 0.4576
Ge 0.5000 0.8886 0.8886
Pd 0.5000 0.7787 0.7787



Entry from the Materials Project database: a relaxed structure of Sm3Ge6Pd20 (GGA-PBE).

SG: Fm-3m, No. 225

a = 8.8794 Å, b = 8.8794 Å, c = 8.8794 Å
α = 60.00°, β = 60.00°, γ = 60.00°
Fractional positions:
Sm 0.0000 0.0000 0.0000
Sm 0.2500 0.2500 0.2500
Sm 0.7500 0.7500 0.7500
Ge 0.2695 0.2695 0.7305
Ge 0.2695 0.7305 0.2695
Ge 0.2695 0.7305 0.7305
Ge 0.7305 0.2695 0.2695
Ge 0.7305 0.2695 0.7305
Ge 0.7305 0.7305 0.2695
Pd 0.0000 0.0000 0.3472
Pd 0.0000 0.0000 0.6528
Pd 0.0000 0.3472 0.0000
Pd 0.0000 0.3472 0.6528
Pd 0.0000 0.6528 0.0000
Pd 0.0000 0.6528 0.3472
Pd 0.1443 0.6186 0.6186
Pd 0.3472 0.0000 0.0000
Pd 0.3472 0.0000 0.6528
Pd 0.3472 0.6528 0.0000
Pd 0.3814 0.3814 0.3814
Pd 0.3814 0.3814 0.8557
Pd 0.3814 0.8557 0.3814
Pd 0.6186 0.1443 0.6186
Pd 0.6186 0.6186 0.1443
Pd 0.6186 0.6186 0.6186
Pd 0.6528 0.0000 0.0000
Pd 0.6528 0.0000 0.3472
Pd 0.6528 0.3472 0.0000
Pd 0.8557 0.3814 0.3814



Entry from the Materials Project database: a relaxed structure of SrGe3Pd (GGA-PBE).

SG: I4mm, No. 107

a = 6.1117 Å, b = 6.1117 Å, c = 6.1117 Å
α = 136.69°, β = 136.69°, γ = 62.91°
Fractional positions:
Sr 0.0000 0.0000 0.0000
Ge 0.2536 0.7536 0.5000
Ge 0.3999 0.3999 0.0000
Ge 0.7536 0.2536 0.5000
Pd 0.6410 0.6410 0.0000



Entry from the Materials Project database: a relaxed structure of SrGe2Pd2 (GGA-PBE).

SG: I4/mmm, No. 139

a = 6.0305 Å, b = 6.0305 Å, c = 6.0305 Å
α = 136.81°, β = 136.81°, γ = 62.73°
Fractional positions:
Sr 0.0000 0.0000 0.0000
Ge 0.3706 0.3706 0.0000
Ge 0.6294 0.6294 0.0000
Pd 0.2500 0.7500 0.5000
Pd 0.7500 0.2500 0.5000



Entry from the Materials Project database: a relaxed structure of TbGePd2 (GGA-PBE).

SG: Pnma, No. 62

a = 7.4648 Å, b = 7.1198 Å, c = 5.6352 Å
α = 90.00°, β = 90.00°, γ = 90.00°
Fractional positions:
Tb 0.0284 0.2500 0.1464
Tb 0.4716 0.7500 0.6464
Tb 0.5284 0.2500 0.3536
Tb 0.9716 0.7500 0.8536
Ge 0.1208 0.7500 0.3548
Ge 0.3792 0.2500 0.8548
Ge 0.6208 0.7500 0.1452
Ge 0.8792 0.2500 0.6452
Pd 0.1803 0.0515 0.5902
Pd 0.1803 0.4485 0.5902
Pd 0.3197 0.5515 0.0902
Pd 0.3197 0.9485 0.0902
Pd 0.6803 0.0515 0.9098
Pd 0.6803 0.4485 0.9098
Pd 0.8197 0.5515 0.4098
Pd 0.8197 0.9485 0.4098



Entry from the Materials Project database: a relaxed structure of TbGe2Pd2 (GGA-PBE).

SG: I4/mmm, No. 139

a = 5.9381 Å, b = 5.9381 Å, c = 5.9381 Å
α = 137.79°, β = 137.79°, γ = 61.22°
Fractional positions:
Tb 0.0000 0.0000 0.0000
Ge 0.3804 0.3804 0.0000
Ge 0.6196 0.6196 0.0000
Pd 0.2500 0.7500 0.5000
Pd 0.7500 0.2500 0.5000



Entry from the Materials Project database: a relaxed structure of Tm3Ge4Pd4 (GGA-PBE).

SG: Immm, No. 71

a = 8.0755 Å, b = 8.0755 Å, c = 8.0755 Å
α = 150.26°, β = 127.87°, γ = 61.17°
Fractional positions:
Tm 0.0000 0.0000 0.0000
Tm 0.3744 0.8744 0.5000
Tm 0.6256 0.1256 0.5000
Ge 0.2179 0.2179 0.0000
Ge 0.3117 0.5000 0.8117
Ge 0.6883 0.5000 0.1883
Ge 0.7821 0.7821 0.0000
Pd 0.0266 0.3251 0.7015
Pd 0.3764 0.6749 0.7015
Pd 0.6236 0.3251 0.2985
Pd 0.9734 0.6749 0.2985



The evaluated DFT total energy for the records listed, in turn: -4.075; -3.827; -3.825; -3.844; -5.406; -5.363; -5.568; -5.800; -5.714; -4.792; -5.443; -5.579; -5.544; -5.237; -5.689; -4.701; -4.973; -5.816; -5.656; -5.671 eV per atom.